# 1
Computed, not measured: a relaxed structure of LiVF4 at the PBE with a Hubbard U level of DFT.

Lattice parameters (Å, degrees): 10.9535 7.5600 7.7492 90.00 90.00 90.00
Positions (direct):
Li 0.0085 0.2500 0.0100
Li 0.0180 0.2500 0.4609
Li 0.4820 0.7500 0.9609
Li 0.4915 0.7500 0.5100
Li 0.5085 0.2500 0.4900
Li 0.5180 0.2500 0.0391
Li 0.9820 0.7500 0.5391
Li 0.9915 0.7500 0.9900
V 0.2461 0.9999 0.6101
V 0.2461 0.5001 0.6101
V 0.2539 0.0001 0.1101
V 0.2539 0.4999 0.1101
V 0.7461 0.9999 0.8899
V 0.7461 0.5001 0.8899
V 0.7539 0.0001 0.3899
V 0.7539 0.4999 0.3899
F 0.0780 0.5680 0.6279
F 0.0780 0.9320 0.6279
F 0.0884 0.5691 0.0858
F 0.0884 0.9309 0.0858
F 0.1787 0.2500 0.5579
F 0.1819 0.2500 0.1470
F 0.2452 0.5558 0.3589
F 0.2452 0.9442 0.3589
F 0.2548 0.0558 0.8589
F 0.2548 0.4442 0.8589
F 0.3181 0.7500 0.6470
F 0.3213 0.7500 0.0579
F 0.4116 0.0691 0.5858
F 0.4116 0.4309 0.5858
F 0.4220 0.0680 0.1279
F 0.4220 0.4320 0.1279
F 0.5780 0.5680 0.8721
F 0.5780 0.9320 0.8721
F 0.5884 0.5691 0.4142
F 0.5884 0.9309 0.4142
F 0.6787 0.2500 0.9421
F 0.6819 0.2500 0.3530
F 0.7452 0.5558 0.1411
F 0.7452 0.9442 0.1411
F 0.7548 0.0558 0.6411
F 0.7548 0.4442 0.6411
F 0.8181 0.7500 0.8530
F 0.8213 0.7500 0.4421
F 0.9116 0.0691 0.9142
F 0.9116 0.4309 0.9142
F 0.9220 0.0680 0.3721
F 0.9220 0.4320 0.3721

Summary:
For the total magnetization, the calculation gives 16.00 Bohr magnetons per cell. As for the MP2020-corrected energy: -6.253 eV/atom. The value obtained for the calculated formation energy is -3145 meV/atom. As for the crystal system: orthorhombic. As for the space group: No. 62.

***

# 2
Computed, not measured: a relaxed structure of Mn7O12 at the PBE with a Hubbard U level of DFT.

Lattice parameters (Å, degrees): 6.3847 6.3847 6.3847 109.63 109.42 109.36
Positions (direct):
Mn 0.0000 0.0000 0.0000
Mn 0.0000 0.0000 0.5000
Mn 0.0000 0.5000 0.0000
Mn 0.5000 0.0000 0.0000
Mn 0.5000 0.0000 0.5000
Mn 0.5000 0.5000 0.0000
Mn 0.5000 0.5000 0.5000
O 0.1267 0.8162 0.3105
O 0.1893 0.0051 0.8159
O 0.1893 0.3734 0.1841
O 0.3160 0.3105 0.6265
O 0.3160 0.6895 0.0055
O 0.4944 0.1838 0.3105
O 0.5056 0.8162 0.6895
O 0.6840 0.3105 0.9945
O 0.6840 0.6895 0.3735
O 0.8107 0.6266 0.8159
O 0.8107 0.9949 0.1841
O 0.8733 0.1838 0.6895

Summary:
As for the MP2020-corrected energy: -8.368 eV/atom. The value obtained for the calculated formation energy is -1867 meV/atom. As for the crystal system: orthorhombic. As for the space group: No. 71.

***

# 3
Computed, not measured: a relaxed structure of VCoP2O8 at the PBE with a Hubbard U level of DFT.

Lattice parameters (Å, degrees): 8.5378 8.5378 8.5378 60.66 60.66 60.66
Positions (direct):
V 0.0000 0.0000 0.0000
V 0.2133 0.2133 0.2133
V 0.7119 0.7119 0.7119
Co 0.3590 0.3590 0.3590
Co 0.4998 0.4998 0.4998
Co 0.8562 0.8562 0.8562
P 0.1063 0.8132 0.3968
P 0.3138 0.6042 0.8985
P 0.3968 0.1063 0.8132
P 0.6042 0.8985 0.3138
P 0.8132 0.3968 0.1063
P 0.8985 0.3138 0.6042
O 0.0382 0.8583 0.2380
O 0.0962 0.2973 0.4426
O 0.1189 0.7700 0.9202
O 0.1663 0.9743 0.3594
O 0.2380 0.0382 0.8583
O 0.2656 0.6193 0.4086
O 0.2973 0.4426 0.0962
O 0.3436 0.5470 0.7419
O 0.3594 0.1663 0.9743
O 0.4086 0.2656 0.6193
O 0.4426 0.0962 0.2973
O 0.4761 0.6644 0.8610
O 0.5469 0.7419 0.3436
O 0.5912 0.9403 0.8006
O 0.6193 0.4086 0.2656
O 0.6644 0.8610 0.4761
O 0.7419 0.3436 0.5469
O 0.7700 0.9202 0.1189
O 0.8006 0.5912 0.9403
O 0.8583 0.2380 0.0382
O 0.8610 0.4761 0.6644
O 0.9202 0.1189 0.7700
O 0.9403 0.8006 0.5912
O 0.9743 0.3594 0.1663

Summary:
For the total magnetization, the calculation gives 1.03 Bohr magnetons per cell. As for the MP2020-corrected energy: -7.891 eV/atom. The value obtained for the calculated formation energy is -2341 meV/atom. As for the crystal system: trigonal. As for the space group: No. 146.

***

# 4
Computed, not measured: a relaxed structure of Li9Mn2Co5O16 at the PBE with a Hubbard U level of DFT.

Lattice parameters (Å, degrees): 2.9847 9.7553 10.1261 77.49 89.07 87.88
Positions (direct):
Li 0.0000 0.0000 0.0000
Li 0.0000 0.0000 0.5000
Li 0.0033 0.5023 0.2555
Li 0.4941 0.7510 0.6190
Li 0.4968 0.2488 0.8701
Li 0.5000 0.5000 0.5000
Li 0.5032 0.7512 0.1299
Li 0.5059 0.2490 0.3810
Li 0.9967 0.4977 0.7445
Mn 0.0004 0.2522 0.1270
Mn 0.9996 0.7478 0.8730
Co 0.0008 0.2623 0.6204
Co 0.4953 0.9947 0.2539
Co 0.5000 0.5000 0.0000
Co 0.5047 0.0053 0.7461
Co 0.9992 0.7377 0.3796
O 0.0034 0.6391 0.5463
O 0.0043 0.8703 0.2025
O 0.0119 0.8774 0.6976
O 0.0163 0.3867 0.9521
O 0.4633 0.1247 0.0717
O 0.4673 0.6232 0.8215
O 0.4704 0.1249 0.5728
O 0.4782 0.6322 0.3163
O 0.5218 0.3678 0.6837
O 0.5296 0.8751 0.4272
O 0.5327 0.3768 0.1785
O 0.5367 0.8753 0.9283
O 0.9837 0.6133 0.0479
O 0.9881 0.1226 0.3024
O 0.9957 0.1297 0.7975
O 0.9966 0.3609 0.4537

Summary:
For the total magnetization, the calculation gives 14.00 Bohr magnetons per cell. As for the MP2020-corrected energy: -6.495 eV/atom. The value obtained for the calculated formation energy is -1800 meV/atom. As for the crystal system: triclinic. As for the space group: No. 2.

***

# 5
Computed, not measured: a relaxed structure of Ca3Mo2O7 at the PBE with a Hubbard U level of DFT.

Lattice parameters (Å, degrees): 10.2337 10.2337 5.7811 90.00 90.00 31.88
Positions (direct):
Ca 0.0477 0.5734 0.6063
Ca 0.2431 0.7569 0.5000
Ca 0.4266 0.9523 0.6063
Ca 0.5734 0.0477 0.1063
Ca 0.7569 0.2431 0.0000
Ca 0.9523 0.4266 0.1063
Mo 0.1504 0.6483 0.0520
Mo 0.3517 0.8496 0.0520
Mo 0.6483 0.1504 0.5520
Mo 0.8496 0.3517 0.5520
O 0.0326 0.1292 0.2430
O 0.0364 0.3646 0.5179
O 0.1292 0.0326 0.7430
O 0.3320 0.4305 0.3593
O 0.3492 0.6508 0.0924
O 0.3646 0.0364 0.0179
O 0.4305 0.3320 0.8593
O 0.5695 0.6680 0.3593
O 0.6354 0.9636 0.5179
O 0.6508 0.3492 0.5924
O 0.6680 0.5695 0.8593
O 0.8708 0.9674 0.2430
O 0.9636 0.6354 0.0179
O 0.9674 0.8708 0.7430

Summary:
The largest piezoelectric modulus is 0.6 C/m². As for the MP2020-corrected energy: -7.925 eV/atom. The value obtained for the calculated formation energy is -2730 meV/atom. As for the crystal system: orthorhombic. As for the space group: No. 36.

***

# 6
Computed, not measured: a relaxed structure of Li4Co3Cu2Sb3O16 at the PBE with a Hubbard U level of DFT.

Lattice parameters (Å, degrees): 5.9589 6.0025 9.8078 91.37 90.30 119.67
Positions (direct):
Li 0.0000 0.0000 0.0000
Li 0.0165 0.0509 0.5184
Li 0.3080 0.6252 0.6233
Li 0.6595 0.3330 0.1069
Co 0.1598 0.3374 0.2891
Co 0.3130 0.1216 0.7912
Co 0.8058 0.1222 0.7914
Cu 0.3136 0.6297 0.9962
Cu 0.6338 0.2796 0.5213
Sb 0.1613 0.8312 0.2905
Sb 0.6543 0.8312 0.2888
Sb 0.8058 0.6161 0.7889
O 0.0231 0.5185 0.1726
O 0.1364 0.2795 0.8865
O 0.1421 0.8129 0.9010
O 0.3144 0.1630 0.4012
O 0.3362 0.6833 0.4074
O 0.4793 0.5200 0.1683
O 0.4800 0.4198 0.6716
O 0.4812 0.9821 0.1762
O 0.4910 0.9827 0.6939
O 0.6411 0.2856 0.8953
O 0.6700 0.8141 0.9007
O 0.8305 0.1607 0.4006
O 0.8424 0.7002 0.4053
O 0.9341 0.4219 0.6715
O 0.9783 0.9612 0.6953
O 0.9874 0.9916 0.1830

Summary:
For the total magnetization, the calculation gives 5.67 Bohr magnetons per cell. As for the MP2020-corrected energy: -6.256 eV/atom. The value obtained for the calculated formation energy is -1659 meV/atom. As for the crystal system: triclinic. As for the space group: No. 1.

***

> Look up the calculated formation energy of the fifth one.

-2730 meV/atom

***

> Which value of calculated formation energy does entry 1 give?

-3145 meV/atom